No. 1
The following is a DFT calculation (PBE with a Hubbard U) of a relaxed structure of KMo2P3O13.

As for the final energy: -7.10 eV/atom. As for the mass density: 2982 kg/m3. The crystal system is monoclinic. The magnetization is 8.00 μB/cell.

Geometry as POSCAR:
```
KMo2P3O13
1.0
-7.317 -16.356 6.897
0.319 -2.646 -5.937
8.895 -4.300 -0.762
O Mo P K
52 8 12 4
Cartesian
2.984 -15.775 -0.504
-0.560 -16.201 3.174
0.895 -10.005 -2.885
1.352 -20.190 1.240
7.171 -5.792 -2.685
2.523 -4.685 -1.602
-0.970 -6.601 -3.203
-4.041 -13.033 -0.366
7.263 -6.720 -0.055
-0.448 -9.800 2.210
0.634 -9.505 -0.485
1.002 -13.298 3.084
-0.875 -21.127 2.009
2.320 -9.398 1.838
2.344 -13.503 -2.011
1.721 -7.065 0.535
5.608 -8.009 -1.807
5.937 -10.270 0.564
7.536 -8.375 -3.762
-3.712 -15.294 2.005
4.614 -13.185 -3.093
6.003 -11.217 -1.685
2.512 -11.876 1.635
-3.289 -12.670 4.425
-0.627 -18.617 1.801
-1.097 -5.205 -0.265
-2.856 -17.663 3.471
-1.255 -19.869 4.200
-1.093 -17.384 5.722
-5.274 -17.511 2.883
4.752 -5.640 -3.273
-0.424 -13.905 -1.640
-4.106 -12.086 1.883
-0.616 -11.426 -1.437
2.993 -18.097 0.463
-5.640 -14.928 3.960
0.809 -4.967 -3.904
1.263 -13.798 0.683
-5.367 -16.582 0.253
3.151 -3.433 -4.001
-1.377 -9.087 -2.049
2.771 -2.176 -1.811
-1.088 -7.528 0.702
1.087 -18.336 4.102
3.273 -14.216 2.247
2.989 -5.918 -5.523
0.545 -3.113 -1.042
-2.718 -10.117 3.292
0.175 -16.237 -0.337
5.185 -10.633 -4.227
2.867 -16.702 3.401
2.456 -7.101 -2.976
2.688 -5.491 -3.520
1.205 -15.026 -0.983
-0.792 -17.812 3.719
0.691 -8.277 1.181
-4.265 -11.388 3.801
7.303 -7.682 -1.861
6.161 -11.914 -3.603
-5.407 -15.621 2.060
-0.143 -9.912 -1.749
-0.702 -5.210 -3.816
6.094 -4.906 -3.308
-0.141 -19.944 1.185
2.599 -18.092 4.015
-4.198 -18.397 3.507
2.039 -13.391 1.948
3.874 -16.920 -0.006
2.786 -10.622 2.628
2.038 -3.358 -0.987
-1.978 -6.383 0.204
-0.890 -12.681 -2.430
-1.510 -13.632 1.586
3.406 -9.670 -1.388
-2.602 -17.752 -0.203
4.498 -5.550 0.401
```



No. 2
The following is a DFT calculation (PBE with a Hubbard U) of a relaxed structure of K2MoP2O9.

As for the final energy: -6.72 eV/atom. As for the mass density: 2815 kg/m3. The crystal system is monoclinic. The magnetization is 0.00 μB/cell.

Geometry as POSCAR:
```
K2MoP2O9
1.0
4.099 7.025 0.000
-4.099 7.025 0.000
0.000 2.416 15.568
O K P Mo
36 8 8 4
Cartesian
-2.681 6.655 10.682
2.681 9.812 4.885
-2.855 7.728 2.039
-0.731 6.209 6.199
0.732 9.973 14.262
0.732 7.702 9.090
-2.014 7.266 8.078
-1.342 11.637 9.665
0.585 4.156 1.761
-1.460 8.561 13.321
-1.342 6.039 13.687
1.342 10.429 1.881
-0.585 5.364 9.545
-1.460 9.114 10.031
-2.855 7.531 5.745
-2.681 11.020 12.669
1.460 7.353 5.537
2.855 8.937 9.823
-0.585 12.312 13.807
-0.148 10.557 11.679
2.014 9.201 7.490
1.342 4.831 5.903
-0.732 8.765 6.478
0.148 9.348 3.895
0.731 7.418 13.983
2.681 5.447 2.899
0.148 5.911 3.889
-2.014 10.409 15.274
2.855 8.739 13.529
0.585 11.104 6.023
2.014 6.058 0.294
0.731 10.258 9.369
-0.732 6.494 1.306
-0.731 9.050 1.585
-0.148 7.119 11.673
1.460 7.906 2.247
2.805 6.777 11.478
-0.670 2.101 0.401
0.670 3.309 8.185
0.670 14.367 15.167
-0.670 13.159 7.383
-2.805 5.569 3.694
-2.805 9.690 4.090
2.805 10.898 11.874
-0.660 10.411 10.199
0.660 6.057 5.368
1.610 8.951 8.979
-1.610 7.517 6.589
1.610 8.725 14.373
0.660 9.203 2.415
-1.610 7.743 1.195
-0.660 7.265 13.152
-1.164 10.706 13.453
1.164 5.761 2.115
-1.164 6.969 9.899
1.164 9.498 5.669
```



No. 3
The following is a DFT calculation (PBE with a Hubbard U) of a relaxed structure of K2Mo2P2O11.

As for the final energy: -6.87 eV/atom. The value obtained for the energy above the most stable polymorph in this dataset is 0.000 eV/f.u. As for the mass density: 3277 kg/m3. The crystal system is monoclinic. The magnetization is 0.00 μB/cell.

Geometry as POSCAR:
```
K2Mo2P2O11
1.0
10.300 0.000 0.000
0.000 10.038 0.000
0.000 1.435 9.958
O P K Mo
44 8 8 8
Cartesian
7.827 9.490 1.809
2.677 1.983 8.149
8.121 1.289 4.272
10.046 9.737 0.231
7.792 4.451 0.026
4.185 7.652 0.238
9.335 3.821 9.720
9.774 1.651 2.399
2.462 6.300 4.887
5.777 4.075 9.195
5.116 5.362 4.739
5.826 7.660 3.308
4.548 8.107 5.745
1.473 6.793 7.174
6.112 3.100 4.740
2.184 9.481 0.705
7.335 1.992 9.253
3.664 6.076 2.202
7.185 2.201 1.642
5.683 2.371 7.378
8.265 2.920 6.615
3.115 8.553 3.343
9.624 8.372 8.300
2.035 9.272 8.316
4.474 3.101 1.658
0.627 7.398 0.762
0.032 6.076 9.715
10.266 6.110 5.219
0.676 3.813 6.650
5.182 5.397 0.243
2.971 10.184 5.686
9.699 3.366 4.213
7.619 10.198 6.787
0.533 9.102 2.580
0.962 8.373 5.218
5.404 10.456 5.211
4.896 1.736 9.727
0.254 1.017 4.747
6.623 4.680 2.784
7.612 5.173 5.071
2.642 7.022 9.932
2.469 1.275 3.171
4.624 9.822 7.558
8.814 5.397 7.756
4.381 9.624 6.043
6.401 4.561 4.316
0.776 8.913 1.061
1.251 6.912 5.642
5.926 2.560 8.897
9.531 1.849 3.915
9.046 5.284 9.299
3.896 6.189 0.658
8.485 8.307 4.404
5.975 6.106 7.373
5.150 0.362 2.489
3.335 3.166 5.554
7.004 9.078 9.494
1.853 2.394 0.464
0.000 11.110 7.469
0.825 5.366 2.584
6.025 3.651 1.099
8.450 0.877 1.003
3.300 10.596 8.954
0.875 7.822 8.858
4.285 7.112 3.894
1.855 9.886 3.978
9.435 4.361 6.064
7.005 1.586 5.979
```



no.,formation enthalpy at 0 K (eV/atom)
1,-2.466
2,-2.506
3,-2.441